1.
ZrSe4Cl6, optimized geometry, DFT PBE; energy = -43.62 eV per formula unit
1.0
-8.0236 1.1613 -7.5785
-7.0302 -5.7189 6.5667
-3.2188 9.5503 4.8713
Cl Se Zr
24 16 4
direct
0.6712 0.4608 0.8572
0.0684 0.8280 0.8711
0.1282 0.3651 0.3839
0.3288 0.9608 0.6428
0.8718 0.8651 0.1161
0.5684 0.1720 0.6289
0.1712 0.5392 0.6428
0.8288 0.4608 0.3572
0.9316 0.3280 0.6289
0.3718 0.3651 0.8839
0.8718 0.6349 0.6161
0.8288 0.0392 0.8572
0.5684 0.3280 0.1289
0.1712 0.9608 0.1428
0.0684 0.6720 0.3711
0.3718 0.1349 0.3839
0.4316 0.6720 0.8711
0.4316 0.8280 0.3711
0.9316 0.1720 0.1289
0.3288 0.5392 0.1428
0.6282 0.8651 0.6161
0.6282 0.6349 0.1161
0.6712 0.0392 0.3572
0.1282 0.1349 0.8839
0.0847 0.0933 0.5790
0.3917 0.6005 0.5046
0.4153 0.4067 0.5790
0.4153 0.0933 0.0790
0.8917 0.3995 0.9954
0.6083 0.1005 0.9954
0.5847 0.5933 0.4210
0.1083 0.8995 0.5046
0.0847 0.4067 0.0790
0.6083 0.3995 0.4954
0.8917 0.1005 0.4954
0.9153 0.5933 0.9210
0.5847 0.9067 0.9210
0.3917 0.8995 0.0046
0.1083 0.6005 0.0046
0.9153 0.9067 0.4210
0.5000 0.5000 0.0000
0.5000 0.0000 0.5000
0.0000 0.5000 0.5000
0.0000 0.0000 0.0000


2.
ZrSe2Cl12, optimized geometry, DFT PBE; energy = -50.06 eV per formula unit
1.0
4.4759 -12.3052 -1.2887
1.9419 -10.5741 7.2851
-6.8148 -5.8887 -1.3451
Cl Se Zr
24 4 2
direct
0.9227 0.8322 0.3916
0.1782 0.2265 0.4920
0.1034 0.9943 0.2585
0.3144 0.4502 0.3402
0.5030 0.0492 0.6680
0.9098 0.3548 0.9356
0.5820 0.4702 0.7470
0.7580 0.1467 0.0718
0.3964 0.8584 0.4178
0.8322 0.9227 0.8536
0.4702 0.5820 0.2008
0.7117 0.6925 0.5812
0.9943 0.1034 0.6438
0.6688 0.2354 0.5383
0.6925 0.7117 0.0146
0.8584 0.3964 0.3273
0.9915 0.6062 0.1466
0.0492 0.5030 0.7798
0.3548 0.9098 0.7998
0.4502 0.3144 0.8952
0.2354 0.6688 0.5575
0.1467 0.7580 0.0235
0.6062 0.9915 0.2557
0.2265 0.1782 0.1033
0.2352 0.6757 0.3123
0.9377 0.4732 0.0148
0.6757 0.2352 0.7768
0.4732 0.9377 0.5743
0.1233 0.1233 0.3767
0.8733 0.8733 0.1267


3.
ZrSe4Cl6, optimized geometry, DFT PBE; energy = -43.60 eV per formula unit
1.0
11.1140 0.0000 0.0000
0.0000 11.1140 0.0000
0.0000 0.0000 11.0480
Cl Se Zr
24 16 4
direct
0.3855 0.1145 0.3606
0.0804 0.1927 0.3899
0.6145 0.8855 0.3606
0.8855 0.3855 0.6394
0.1145 0.3855 0.1394
0.1145 0.6145 0.6394
0.3073 0.5804 0.8899
0.6927 0.4196 0.8899
0.9196 0.1927 0.8899
0.5804 0.3073 0.6101
0.5804 0.6927 0.1101
0.4196 0.6927 0.6101
0.8073 0.0804 0.6101
0.4196 0.3073 0.1101
0.9196 0.8073 0.3899
0.8073 0.9196 0.1101
0.3073 0.4196 0.3899
0.8855 0.6145 0.1394
0.6145 0.1145 0.8606
0.6927 0.5804 0.3899
0.1927 0.9196 0.6101
0.0804 0.8073 0.8899
0.3855 0.8855 0.8606
0.1927 0.0804 0.1101
0.6607 0.8393 0.6694
0.1607 0.6607 0.3306
0.8550 0.1450 0.2500
0.3393 0.1607 0.6694
0.6450 0.6450 0.7500
0.6607 0.1607 0.1694
0.8550 0.8550 0.7500
0.6450 0.3550 0.2500
0.1607 0.3393 0.8306
0.3550 0.3550 0.7500
0.8393 0.6607 0.8306
0.1450 0.8550 0.2500
0.3393 0.8393 0.1694
0.3550 0.6450 0.2500
0.1450 0.1450 0.7500
0.8393 0.3393 0.3306
0.2500 0.7500 0.7500
0.7500 0.2500 0.7500
0.2500 0.2500 0.2500
0.7500 0.7500 0.2500